# Cs3Tl2Cl9 meta-GGA r2SCAN optimized geometry
data_Cs3Tl2Cl9
_chemical_formula_sum 'Cs18 Tl12 Cl54'
_space_group_name_H-M_alt 'R -3 c'
_space_group_IT_number 167
_space_group_name_Hall '-R 3 2"c'
_cell_length_a 12.9335
_cell_length_b 12.9335
_cell_length_c 18.5381
_cell_angle_alpha 90.00
_cell_angle_beta 90.00
_cell_angle_gamma 120.00
loop_
_atom_site_label
_atom_site_type_symbol
_atom_site_fract_x
_atom_site_fract_y
_atom_site_fract_z
Cs1 Cs 0.0000 0.3379 0.2500
Tl1 Tl 0.0000 0.0000 0.1492
Cl1 Cl 0.0000 0.1561 0.7500
Cl2 Cl 0.0021 0.1750 0.4110
# * M_tot: 0.00 μB/f.u.
# * ΔE_f: -20.724 eV per formula unit

=====

# CsTlCl3 meta-GGA r2SCAN optimized geometry
data_CsTlCl3
_chemical_formula_sum 'Cs8 Tl8 Cl24'
_space_group_name_H-M_alt 'F m -3 m'
_space_group_IT_number 225
_space_group_name_Hall '-F 4 2 3'
_cell_length_a 11.1716
_cell_length_b 11.1716
_cell_length_c 11.1716
_cell_angle_alpha 90.00
_cell_angle_beta 90.00
_cell_angle_gamma 90.00
loop_
_atom_site_label
_atom_site_type_symbol
_atom_site_fract_x
_atom_site_fract_y
_atom_site_fract_z
Cs1 Cs 0.2500 0.2500 0.2500
Tl1 Tl 0.0000 0.0000 0.0000
Tl2 Tl 0.0000 0.0000 0.5000
Cl1 Cl 0.0000 0.0000 0.2333
# * M_tot: 0.00 μB/f.u.
# * ΔE_f: -7.401 eV per formula unit

=====

# Cs2TmCl5 meta-GGA r2SCAN optimized geometry
data_Cs2TmCl5
_chemical_formula_sum 'Cs8 Tm4 Cl20'
_space_group_name_H-M_alt 'P n m a'
_space_group_IT_number 62
_cell_length_a 9.4789
_cell_length_b 7.4271
_cell_length_c 15.2568
_cell_angle_alpha 90.00
_cell_angle_beta 90.00
_cell_angle_gamma 90.00
loop_
_space_group_symop_operation_xyz
'x,y,z'
'-x,-y,-z'
'-x+1/2,-y,z+1/2'
'x+1/2,y,-z+1/2'
'x+1/2,-y+1/2,-z+1/2'
'-x+1/2,y+1/2,z+1/2'
'-x,y+1/2,-z'
'x,-y+1/2,z'
loop_
_atom_site_label
_atom_site_type_symbol
_atom_site_fract_x
_atom_site_fract_y
_atom_site_fract_z
Cs1 Cs 0.0277 0.2500 0.2111
Cs2 Cs 0.1658 0.7500 0.4163
Tm1 Tm 0.1787 0.7500 0.0651
Cl1 Cl 0.0000 0.0000 0.0000
Cl2 Cl 0.0193 0.7500 0.1999
Cl3 Cl 0.1651 0.5025 0.6186
Cl4 Cl 0.2086 0.2500 0.4100
# * M_tot: 0.00 μB/f.u.
# * ΔE_f: -19.635 eV per formula unit

=====

# Cs2VCl6 meta-GGA r2SCAN optimized geometry
data_Cs2VCl6
_chemical_formula_sum 'Cs4 V2 Cl12'
_space_group_name_H-M_alt 'I m m m'
_space_group_IT_number 71
_space_group_name_Hall '-I 2 2'
_cell_length_a 7.2439
_cell_length_b 7.2605
_cell_length_c 10.3852
_cell_angle_alpha 90.00
_cell_angle_beta 90.00
_cell_angle_gamma 90.00
loop_
_atom_site_label
_atom_site_type_symbol
_atom_site_fract_x
_atom_site_fract_y
_atom_site_fract_z
Cs1 Cs 0.0000 0.0000 0.2499
V1 V 0.0000 0.5000 0.0000
Cl1 Cl 0.0000 0.5000 0.2255
Cl2 Cl 0.2250 0.2736 0.0000
# * M_tot: 1.00 μB/f.u.
# * ΔE_f: -16.294 eV per formula unit